Density functional theory data (PBE) for a relaxed structure of Sr5Re3IO15.

```
Sr5Re3IO15
1.0
7.605 0.000 0.000
0.000 10.858 0.000
0.000 0.000 19.022
Sr O Re I
20 60 12 4
direct
0.498 0.754 0.415
0.758 0.107 0.103
0.242 0.893 0.897
0.286 0.475 0.750
0.786 0.025 0.750
0.502 0.246 0.915
0.214 0.975 0.250
0.498 0.754 0.085
0.258 0.393 0.103
0.002 0.254 0.585
0.742 0.607 0.897
0.714 0.525 0.250
0.258 0.393 0.397
0.758 0.107 0.397
0.742 0.607 0.603
0.002 0.254 0.915
0.502 0.246 0.585
0.998 0.746 0.415
0.998 0.746 0.085
0.242 0.893 0.603
0.726 0.400 0.535
0.580 0.427 0.683
0.625 0.393 0.386
0.226 0.100 0.535
0.274 0.600 0.465
0.462 0.989 0.113
0.248 0.772 0.183
0.875 0.893 0.614
0.736 0.603 0.032
0.264 0.397 0.968
0.625 0.393 0.114
0.920 0.927 0.183
0.057 0.693 0.949
0.538 0.011 0.613
0.080 0.073 0.817
0.418 0.064 0.750
0.125 0.107 0.386
0.443 0.193 0.449
0.252 0.272 0.817
0.082 0.564 0.250
0.774 0.900 0.465
0.252 0.272 0.683
0.918 0.436 0.750
0.752 0.228 0.683
0.764 0.103 0.968
0.726 0.400 0.965
0.038 0.489 0.613
0.080 0.073 0.683
0.752 0.228 0.817
0.875 0.893 0.886
0.557 0.807 0.949
0.057 0.693 0.551
0.748 0.728 0.183
0.264 0.397 0.532
0.943 0.307 0.051
0.038 0.489 0.887
0.462 0.989 0.387
0.236 0.897 0.032
0.774 0.900 0.035
0.920 0.927 0.317
0.962 0.511 0.113
0.274 0.600 0.035
0.443 0.193 0.051
0.226 0.100 0.965
0.248 0.772 0.317
0.962 0.511 0.387
0.420 0.573 0.317
0.748 0.728 0.317
0.764 0.103 0.532
0.420 0.573 0.183
0.557 0.807 0.551
0.125 0.107 0.114
0.582 0.936 0.250
0.736 0.603 0.468
0.538 0.011 0.887
0.943 0.307 0.449
0.375 0.607 0.886
0.236 0.897 0.468
0.580 0.427 0.817
0.375 0.607 0.614
0.721 0.353 0.750
0.294 0.059 0.443
0.779 0.853 0.250
0.206 0.559 0.943
0.794 0.441 0.057
0.206 0.559 0.557
0.221 0.147 0.750
0.794 0.441 0.443
0.279 0.647 0.250
0.294 0.059 0.057
0.706 0.941 0.943
0.706 0.941 0.557
0.105 0.755 0.750
0.605 0.745 0.750
0.895 0.245 0.250
0.395 0.255 0.250
```

**DFT formation energy**: -62.270 kcal/mol of atoms
**M_tot**: 0.01 μB/f.u.
**Total energy**: -7.334 eV per atom